(1)
Ca2Mn2Si3O12, optimized geometry, DFT PBE with a Hubbard U; space group = I4_1/acd, No. 142; corrected total energy (MP2020 scheme) = -0.293 Ha/atom; DFT formation energy = -2820 meV per atom
1.0
-6.007 6.007 5.940
6.007 -6.007 5.940
6.007 6.007 -5.940
Si O Mn Ca
12 48 8 8
Direct
0.000 0.125 0.375
0.375 0.500 0.625
0.250 0.750 0.500
0.000 0.000 0.000
0.500 0.500 0.000
0.875 0.250 0.875
0.375 0.000 0.125
0.750 0.625 0.625
0.250 0.625 0.125
0.875 0.750 0.375
0.500 0.125 0.875
0.750 0.250 0.500
0.634 0.268 0.061
0.816 0.984 0.248
0.630 0.482 0.946
0.319 0.986 0.252
0.823 0.384 0.867
0.130 0.184 0.148
0.616 0.482 0.439
0.934 0.380 0.648
0.714 0.066 0.446
0.732 0.793 0.367
0.207 0.573 0.939
0.543 0.982 0.867
0.016 0.264 0.832
0.732 0.286 0.352
0.434 0.786 0.554
0.018 0.870 0.054
0.931 0.764 0.248
0.516 0.684 0.752
0.316 0.069 0.832
0.316 0.370 0.852
0.934 0.681 0.668
0.707 0.768 0.633
0.036 0.982 0.852
0.234 0.486 0.668
0.620 0.268 0.554
0.518 0.464 0.148
0.214 0.768 0.648
0.734 0.066 0.748
0.232 0.866 0.939
0.236 0.484 0.168
0.514 0.181 0.748
0.323 0.457 0.439
0.816 0.964 0.946
0.043 0.177 0.561
0.427 0.366 0.633
0.120 0.566 0.352
0.014 0.266 0.332
0.434 0.766 0.252
0.819 0.566 0.332
0.736 0.569 0.752
0.518 0.957 0.133
0.134 0.073 0.367
0.536 0.684 0.054
0.431 0.184 0.168
0.232 0.880 0.446
0.927 0.293 0.061
0.116 0.677 0.133
0.018 0.884 0.561
0.625 0.375 0.250
0.125 0.875 0.250
0.125 0.375 0.750
0.625 0.375 0.750
0.125 0.875 0.750
0.625 0.875 0.750
0.125 0.375 0.250
0.625 0.875 0.250
0.375 0.246 0.371
0.875 0.004 0.629
0.754 0.125 0.129
0.496 0.625 0.371
0.375 0.746 0.871
0.254 0.125 0.629
0.996 0.625 0.871
0.875 0.504 0.129


(2)
Li7Mn5O12, optimized geometry, DFT PBE with a Hubbard U; space group = P1, No. 1; energy above the most stable polymorph in this dataset = 16 meV/atom; corrected total energy (MP2020 scheme) = -0.260 Ha/atom; DFT formation energy = -2141 meV per atom
1.0
-0.662 -3.958 5.657
2.107 -7.294 -0.840
8.151 5.186 1.640
O Li Mn
24 14 10
Direct
0.809 0.432 0.421
0.979 0.607 0.258
0.778 0.648 0.993
0.188 0.560 0.575
0.146 0.970 0.649
0.608 0.476 0.160
0.697 0.849 0.517
0.686 0.063 0.081
0.065 0.375 0.726
0.559 0.690 0.673
0.306 0.933 0.925
0.606 0.291 0.607
0.470 0.318 0.317
0.358 0.735 0.412
0.021 0.197 0.184
0.230 0.338 0.013
0.560 0.876 0.226
0.885 0.023 0.341
0.481 0.104 0.752
0.861 0.233 0.908
0.936 0.829 0.821
0.282 0.143 0.492
0.389 0.519 0.840
0.102 0.790 0.108
0.084 0.583 0.917
0.775 0.048 0.709
0.047 0.796 0.456
0.391 0.118 0.124
0.644 0.860 0.870
0.290 0.537 0.194
0.976 0.206 0.539
0.472 0.709 0.036
0.191 0.960 0.294
0.583 0.083 0.416
0.120 0.371 0.378
0.522 0.307 0.963
0.693 0.458 0.797
0.878 0.630 0.640
0.667 0.669 0.332
0.501 0.497 0.501
0.175 0.169 0.835
0.990 0.998 0.998
0.426 0.914 0.580
0.833 0.832 0.167
0.741 0.252 0.253
0.925 0.417 0.081
0.242 0.750 0.753
0.333 0.334 0.666


(3)
LiCoPO4, optimized geometry, DFT PBE with a Hubbard U; space group = P6_1, No. 169; energy above the most stable polymorph in this dataset = 82 meV/atom; corrected total energy (MP2020 scheme) = -0.265 Ha/atom; DFT formation energy = -2326 meV per atom
1.0
4.949 -8.572 0.000
4.949 8.572 0.000
0.000 0.000 23.910
O P Li Co
96 24 24 24
Direct
0.984 0.312 0.343
0.309 0.432 0.081
0.210 0.462 0.791
0.737 0.323 0.517
0.300 0.242 0.976
0.123 0.691 0.748
0.860 0.016 0.430
0.826 0.908 0.138
0.631 0.470 0.971
0.665 0.649 0.355
0.323 0.586 0.350
0.727 0.258 0.414
0.477 0.138 0.472
0.162 0.631 0.138
0.310 0.970 0.585
0.908 0.082 0.971
0.339 0.477 0.638
0.273 0.742 0.914
0.340 0.310 0.751
0.704 0.076 0.639
0.763 0.728 0.025
0.877 0.309 0.248
0.672 0.984 0.510
0.174 0.092 0.638
0.628 0.704 0.806
0.942 0.700 0.643
0.813 0.395 0.114
0.660 0.690 0.251
0.530 0.162 0.305
0.140 0.984 0.930
0.748 0.210 0.957
0.984 0.845 0.763
0.187 0.605 0.614
0.092 0.918 0.471
0.538 0.748 0.124
0.661 0.523 0.138
0.742 0.470 0.748
0.037 0.766 0.087
0.252 0.790 0.457
0.328 0.016 0.010
0.605 0.418 0.447
0.155 0.140 0.097
0.351 0.015 0.689
0.862 0.339 0.805
0.076 0.372 0.473
0.677 0.414 0.850
0.691 0.568 0.581
0.970 0.660 0.418
0.016 0.688 0.843
0.058 0.300 0.143
0.582 0.187 0.780
0.790 0.538 0.291
0.395 0.582 0.947
0.470 0.838 0.805
0.649 0.985 0.189
0.272 0.035 0.358
0.838 0.369 0.638
0.258 0.530 0.248
0.924 0.628 0.973
0.271 0.037 0.254
0.963 0.234 0.587
0.237 0.272 0.525
0.530 0.273 0.081
0.728 0.965 0.858
0.766 0.729 0.920
0.845 0.860 0.597
0.138 0.661 0.305
0.312 0.328 0.176
0.369 0.530 0.471
0.568 0.877 0.414
0.335 0.351 0.855
0.965 0.237 0.691
0.016 0.155 0.263
0.082 0.174 0.805
0.296 0.924 0.139
0.035 0.763 0.191
0.462 0.252 0.624
0.234 0.271 0.420
0.688 0.672 0.676
0.758 0.058 0.310
0.523 0.862 0.972
0.690 0.030 0.085
0.470 0.727 0.581
0.242 0.942 0.810
0.372 0.296 0.306
0.586 0.263 0.183
0.918 0.826 0.305
0.729 0.963 0.754
0.418 0.813 0.280
0.263 0.677 0.017
0.432 0.123 0.914
0.015 0.665 0.522
0.030 0.340 0.918
0.414 0.737 0.683
0.700 0.758 0.476
0.985 0.335 0.022
0.360 0.132 0.306
0.245 0.327 0.800
0.638 0.286 0.462
0.210 0.303 0.124
0.286 0.647 0.296
0.772 0.640 0.973
0.640 0.868 0.806
0.362 0.714 0.962
0.790 0.697 0.624
0.647 0.362 0.129
0.697 0.907 0.457
0.673 0.918 0.133
0.082 0.755 0.467
0.303 0.093 0.957
0.714 0.353 0.796
0.868 0.228 0.640
0.093 0.790 0.791
0.327 0.082 0.633
0.907 0.210 0.291
0.755 0.673 0.300
0.228 0.360 0.473
0.918 0.245 0.967
0.132 0.772 0.140
0.353 0.638 0.629
0.024 0.047 0.029
0.948 0.540 0.693
0.412 0.446 0.367
0.460 0.408 0.027
0.034 0.588 0.034
0.977 0.024 0.195
0.588 0.554 0.867
0.540 0.592 0.527
0.554 0.966 0.700
0.562 0.040 0.016
0.446 0.034 0.200
0.047 0.023 0.862
0.438 0.960 0.516
0.023 0.976 0.695
0.976 0.953 0.529
0.408 0.948 0.860
0.522 0.562 0.183
0.040 0.478 0.850
0.953 0.977 0.362
0.966 0.412 0.534
0.478 0.438 0.683
0.052 0.460 0.193
0.960 0.522 0.350
0.592 0.052 0.360
0.357 0.689 0.423
0.765 0.679 0.753
0.332 0.643 0.090
0.875 0.245 0.093
0.245 0.370 0.927
0.719 0.899 0.937
0.899 0.180 0.770
0.086 0.765 0.920
0.914 0.235 0.420
0.668 0.357 0.590
0.689 0.332 0.257
0.630 0.875 0.260
0.281 0.101 0.437
0.643 0.311 0.923
0.679 0.914 0.586
0.820 0.719 0.103
0.101 0.820 0.270
0.180 0.281 0.603
0.311 0.668 0.757
0.755 0.630 0.427
0.321 0.086 0.086
0.125 0.755 0.593
0.370 0.125 0.760
0.235 0.321 0.253


(4)
NdMoI4O15, optimized geometry, DFT PBE with a Hubbard U; space group = P2_1, No. 4; corrected total energy (MP2020 scheme) = -0.218 Ha/atom; DFT formation energy = -1369 meV per atom
1.0
14.229 0.000 0.000
0.000 7.076 0.000
0.000 2.957 6.613
O I Nd Mo
30 8 2 2
Direct
0.840 0.246 0.799
0.215 0.582 0.989
0.715 0.418 0.011
0.464 0.518 0.092
0.410 0.074 0.409
0.133 0.231 0.935
0.910 0.926 0.591
0.092 0.909 0.775
0.217 0.047 0.397
0.622 0.229 0.811
0.351 0.596 0.710
0.658 0.389 0.391
0.158 0.611 0.609
0.269 0.268 0.653
0.973 0.598 0.458
0.959 0.040 0.124
0.964 0.482 0.908
0.769 0.732 0.347
0.851 0.404 0.290
0.717 0.953 0.603
0.037 0.286 0.356
0.537 0.714 0.644
0.816 0.766 0.956
0.459 0.960 0.876
0.633 0.769 0.065
0.473 0.402 0.542
0.316 0.234 0.044
0.122 0.771 0.189
0.340 0.754 0.201
0.592 0.091 0.225
0.965 0.242 0.869
0.465 0.758 0.131
0.970 0.522 0.243
0.189 0.852 0.955
0.470 0.478 0.757
0.689 0.148 0.045
0.309 0.238 0.302
0.809 0.762 0.698
0.059 0.918 0.431
0.559 0.082 0.569
0.728 0.585 0.216
0.228 0.415 0.784


(5)
LiV4CuO12, optimized geometry, DFT PBE with a Hubbard U; space group = C2, No. 5; energy above the most stable polymorph in this dataset = 0 meV/atom; corrected total energy (MP2020 scheme) = -0.284 Ha/atom; DFT formation energy = -2084 meV per atom
1.0
-0.443 -0.821 6.639
4.015 -5.357 0.352
5.121 2.030 2.167
O V Cu Li
12 4 1 1
Direct
0.365 0.369 0.196
0.921 0.384 0.026
0.082 0.627 0.462
0.801 0.968 0.425
0.654 0.640 0.300
0.631 0.635 0.804
0.032 0.199 0.575
0.975 0.809 0.858
0.360 0.346 0.700
0.616 0.079 0.974
0.191 0.025 0.142
0.373 0.918 0.538
0.611 0.793 0.515
0.801 0.616 0.001
0.384 0.199 0.999
0.207 0.389 0.485
0.086 0.914 0.500
0.911 0.089 0.000


(6)
Li5Fe2P2C2O14, optimized geometry, DFT PBE with a Hubbard U; space group = P-1, No. 2; energy above the most stable polymorph in this dataset = 2 meV/atom; corrected total energy (MP2020 scheme) = -0.269 Ha/atom; DFT formation energy = -2313 meV per atom
1.0
7.931 0.000 0.000
-1.913 8.252 0.000
-2.076 -4.106 8.441
C Fe O Li P
4 4 28 10 4
Direct
0.503 0.255 0.940
0.012 0.267 0.045
0.988 0.733 0.955
0.497 0.745 0.060
0.802 0.549 0.657
0.696 0.954 0.346
0.304 0.046 0.654
0.198 0.451 0.343
0.172 0.465 0.561
0.837 0.596 0.902
0.797 0.749 0.321
0.947 0.138 0.413
0.704 0.768 0.691
0.449 0.742 0.183
0.346 0.136 0.902
0.828 0.535 0.439
0.052 0.768 0.852
0.163 0.404 0.098
0.576 0.134 0.333
0.064 0.641 0.324
0.296 0.232 0.309
0.203 0.251 0.679
0.936 0.359 0.676
0.605 0.368 0.082
0.545 0.360 0.577
0.654 0.864 0.098
0.395 0.632 0.918
0.334 0.034 0.449
0.666 0.966 0.551
0.935 0.174 0.894
0.948 0.232 0.148
0.551 0.258 0.817
0.053 0.862 0.587
0.424 0.866 0.667
0.065 0.826 0.106
0.455 0.640 0.423
0.761 0.214 0.740
0.958 0.939 0.778
0.735 0.282 0.242
0.464 0.449 0.754
0.239 0.786 0.260
0.536 0.551 0.246
0.265 0.718 0.758
0.834 0.610 0.110
0.166 0.390 0.890
0.042 0.061 0.222
0.939 0.698 0.423
0.438 0.195 0.417
0.562 0.805 0.583
0.061 0.302 0.577


(7)
MgMn3VO8, optimized geometry, DFT PBE with a Hubbard U; space group = P-1, No. 2; energy above the most stable polymorph in this dataset = 19 meV/atom; corrected total energy (MP2020 scheme) = -0.299 Ha/atom; DFT formation energy = -2143 meV per atom
1.0
-6.433 -1.759 7.925
-6.585 -6.674 4.671
-7.574 -7.069 10.625
O Mn V Mg
8 3 1 1
Direct
0.981 0.450 0.308
0.513 0.043 0.224
0.019 0.550 0.692
0.020 0.018 0.706
0.980 0.982 0.294
0.512 0.524 0.241
0.487 0.957 0.776
0.488 0.476 0.759
0.500 0.500 0.000
0.000 0.500 0.000
0.500 0.000 0.000
0.000 0.000 0.000
0.000 0.000 0.500